# 1
Material: Ta2CuO6
Method: DFT, PBE
State: relaxed

Unit cell a=6.5755 b=6.5755 c=6.5755 alpha=110.38 beta=109.06 gamma=108.97
With the nearest neighbours (Å) after each atom.
Element x y z (fractional)
Ta 0.0000 0.0000 0.5000  6 O 1.95-2.03
Ta 0.0000 0.5000 0.0000  6 O 1.95-2.03
Ta 0.5000 0.0000 0.0000  6 O 1.95-2.03
Ta 0.5000 0.5000 0.5000  6 O 1.95-2.03
Cu 0.0000 0.0000 0.0000  4 O 1.99
Cu 0.5000 0.5000 0.0000  4 O 1.99
O 0.0996 0.7952 0.3043  2 Ta 1.95
O 0.1784 0.3717 0.1933  1 Cu 1.99, 2 Ta 2.03
O 0.1784 0.9852 0.8067  1 Cu 1.99, 2 Ta 2.03
O 0.3144 0.3132 0.6276  1 Cu 1.99, 2 Ta 2.03
O 0.3144 0.6868 0.0012  1 Cu 1.99, 2 Ta 2.03
O 0.4909 0.7952 0.6957  2 Ta 1.95
O 0.5091 0.2048 0.3043  2 Ta 1.95
O 0.6856 0.3132 0.9988  1 Cu 1.99, 2 Ta 2.03
O 0.6856 0.6868 0.3724  1 Cu 1.99, 2 Ta 2.03
O 0.8216 0.0148 0.1933  1 Cu 1.99, 2 Ta 2.03
O 0.8216 0.6283 0.8067  1 Cu 1.99, 2 Ta 2.03
O 0.9004 0.2048 0.6957  2 Ta 1.95

Results
* MP2020-corrected energy: -9.1531 eV per atom
* excess energy over the best structure of this formula in the dataset: 11 kJ/mol of formula units
* formation energy from the elements: -2.764 eV/atom
* volume: 218.8 Å³ per cell
* calculated total energy: -156.5 eV per cell

# 2
Material: CeSe2
Method: DFT, PBE
State: relaxed

Unit cell a=7.4264 b=13.5642 c=7.9718 alpha=90.00 beta=90.00 gamma=90.00
With the nearest neighbours (Å) after each atom.
Element x y z (fractional)
Ce 0.1318 0.1293 0.1091  6 Se 2.84-2.89
Ce 0.1318 0.3707 0.6091  6 Se 2.84-2.89
Ce 0.3682 0.6293 0.1091  6 Se 2.84-2.89
Ce 0.3682 0.8707 0.6091  6 Se 2.84-2.89
Ce 0.6318 0.1293 0.3909  6 Se 2.84-2.89
Ce 0.6318 0.3707 0.8909  6 Se 2.84-2.89
Ce 0.8682 0.6293 0.3909  6 Se 2.84-2.89
Ce 0.8682 0.8707 0.8909  6 Se 2.84-2.89
Se 0.0303 0.7290 0.1152  3 Ce 2.85-2.89
Se 0.0303 0.7710 0.6152  3 Ce 2.85-2.89
Se 0.1817 0.5103 0.3472  3 Ce 2.84-2.85
Se 0.1817 0.9897 0.8472  3 Ce 2.84-2.85
Se 0.3183 0.0103 0.3472  3 Ce 2.84-2.85
Se 0.3183 0.4897 0.8472  3 Ce 2.84-2.85
Se 0.4697 0.2290 0.1152  3 Ce 2.85-2.89
Se 0.4697 0.2710 0.6152  3 Ce 2.85-2.89
Se 0.5303 0.7290 0.3848  3 Ce 2.85-2.89
Se 0.5303 0.7710 0.8848  3 Ce 2.85-2.89
Se 0.6817 0.5103 0.1528  3 Ce 2.84-2.85
Se 0.6817 0.9897 0.6528  3 Ce 2.84-2.85
Se 0.8183 0.0103 0.1528  3 Ce 2.84-2.85
Se 0.8183 0.4897 0.6528  3 Ce 2.84-2.85
Se 0.9697 0.2290 0.3848  3 Ce 2.85-2.89
Se 0.9697 0.2710 0.8848  3 Ce 2.85-2.89

Results
* MP2020-corrected energy: -6.1168 eV per atom
* formation energy from the elements: -1.808 eV/atom
* volume: 803.0 Å³ per cell
* calculated total energy: -139.3 eV per cell

# 3
Material: Np3As4
Method: DFT, PBE
State: relaxed

Unit cell a=7.3595 b=7.3595 c=7.3595 alpha=109.47 beta=109.47 gamma=109.47
With the nearest neighbours (Å) after each atom.
Element x y z (fractional)
Np 0.1250 0.8750 0.2500  8 As 2.91-2.97
Np 0.2500 0.1250 0.8750  8 As 2.91-2.97
Np 0.3750 0.6250 0.7500  8 As 2.91-2.97
Np 0.6250 0.7500 0.3750  8 As 2.91-2.97
Np 0.7500 0.3750 0.6250  8 As 2.91-2.97
Np 0.8750 0.2500 0.1250  8 As 2.91-2.97
As 0.0000 0.1596 0.5000  6 Np 2.91-2.97, 3 As 3.19
As 0.0000 0.6596 0.5000  6 Np 2.91-2.97, 3 As 3.19
As 0.1596 0.5000 0.0000  6 Np 2.91-2.97, 3 As 3.19
As 0.3404 0.3404 0.3404  6 Np 2.91-2.97, 3 As 3.19
As 0.5000 0.0000 0.1596  6 Np 2.91-2.97, 3 As 3.19
As 0.5000 0.0000 0.6596  6 Np 2.91-2.97, 3 As 3.19
As 0.6596 0.5000 0.0000  6 Np 2.91-2.97, 3 As 3.19
As 0.8404 0.8404 0.8404  6 Np 2.91-2.97, 3 As 3.19

Results
* formation energy from the elements: -0.647 eV/atom
* volume: 306.8 Å³ per cell
* calculated total energy: -124.0 eV per cell

# 4
Material: PrAl2Si2
Method: DFT, PBE
State: relaxed

Unit cell a=4.2521 b=4.2521 c=6.8623 alpha=90.00 beta=90.00 gamma=120.00
With the nearest neighbours (Å) after each atom.
Element x y z (fractional)
Pr 0.0000 0.0000 0.0000  6 Si 3.08
Al 0.3333 0.6667 0.3600  4 Si 2.53
Al 0.6667 0.3333 0.6400  4 Si 2.53
Si 0.3333 0.6667 0.7291  4 Al 2.53
Si 0.6667 0.3333 0.2709  4 Al 2.53

Results
* MP2020-corrected energy: -4.9870 eV per atom
* formation energy from the elements: -0.362 eV/atom
* volume: 107.5 Å³ per cell
* calculated total energy: -25.1 eV per cell

# 5
Material: Li3Pd
Method: DFT, PBE
State: relaxed

Unit cell a=6.1827 b=6.1827 c=6.1827 alpha=90.00 beta=90.00 gamma=90.00
With the nearest neighbours (Å) after each atom.
Element x y z (fractional)
Li 0.0000 0.0000 0.0000  8 Li 2.68
Li 0.0000 0.5000 0.5000  8 Li 2.68
Li 0.2500 0.2500 0.2500  4 Li 2.68, 4 Pd 2.68
Li 0.2500 0.2500 0.7500  4 Li 2.68, 4 Pd 2.68
Li 0.2500 0.7500 0.2500  4 Li 2.68, 4 Pd 2.68
Li 0.2500 0.7500 0.7500  4 Li 2.68, 4 Pd 2.68
Li 0.5000 0.0000 0.5000  8 Li 2.68
Li 0.5000 0.5000 0.0000  8 Li 2.68
Li 0.7500 0.2500 0.2500  4 Li 2.68, 4 Pd 2.68
Li 0.7500 0.2500 0.7500  4 Li 2.68, 4 Pd 2.68
Li 0.7500 0.7500 0.2500  4 Li 2.68, 4 Pd 2.68
Li 0.7500 0.7500 0.7500  4 Li 2.68, 4 Pd 2.68
Pd 0.0000 0.0000 0.5000  8 Li 2.68
Pd 0.0000 0.5000 0.0000  8 Li 2.68
Pd 0.5000 0.0000 0.0000  8 Li 2.68
Pd 0.5000 0.5000 0.5000  8 Li 2.68

Results
* excess energy over the best structure of this formula in the dataset: 0 kJ/mol of formula units
* formation energy from the elements: -0.306 eV/atom
* volume: 236.3 Å³ per cell
* calculated total energy: -48.5 eV per cell

# 6
Material: AgSbTe2
Method: DFT, PBE
State: relaxed

Unit cell a=6.1365 b=6.1365 c=12.1087 alpha=90.00 beta=90.00 gamma=90.00
With the nearest neighbours (Å) after each atom.
Element x y z (fractional)
Ag 0.0000 0.0000 0.2500  2 Sb 3.03, 4 Te 3.07
Ag 0.0000 0.0000 0.7500  2 Sb 3.03, 4 Te 3.07
Ag 0.0000 0.5000 0.0000  4 Te 3.00-3.07, 2 Sb 3.07
Ag 0.5000 0.0000 0.5000  4 Te 3.00-3.07, 2 Sb 3.07
Sb 0.0000 0.0000 0.0000  4 Ag 3.03-3.07, 2 Sb 3.07
Sb 0.0000 0.0000 0.5000  4 Ag 3.03-3.07, 2 Sb 3.07
Sb 0.0000 0.5000 0.5000  4 Te 3.05-3.07, 2 Sb 3.07
Sb 0.5000 0.0000 0.0000  4 Te 3.05-3.07, 2 Sb 3.07
Te 0.0000 0.5000 0.2477  3 Ag 3.00-3.07, 1 Sb 3.05, 2 Te 3.07
Te 0.0000 0.5000 0.7523  3 Ag 3.00-3.07, 1 Sb 3.05, 2 Te 3.07
Te 0.5000 0.0000 0.2523  3 Ag 3.00-3.07, 1 Sb 3.05, 2 Te 3.07
Te 0.5000 0.0000 0.7477  3 Ag 3.00-3.07, 1 Sb 3.05, 2 Te 3.07
Te 0.5000 0.5000 0.0000  2 Te 3.03, 2 Sb 3.07, 2 Ag 3.07
Te 0.5000 0.5000 0.2500  6 Te 3.03-3.07
Te 0.5000 0.5000 0.5000  2 Te 3.03, 2 Sb 3.07, 2 Ag 3.07
Te 0.5000 0.5000 0.7500  6 Te 3.03-3.07

Results
* MP2020-corrected energy: -3.4747 eV per atom
* formation energy from the elements: -0.163 eV/atom
* volume: 456.0 Å³ per cell
* calculated total energy: -52.2 eV per cell

# 7
Material: Tb3Co8Sn4
Method: DFT, PBE
State: relaxed

Unit cell a=8.8530 b=8.8530 c=7.5551 alpha=90.00 beta=90.00 gamma=120.00
With the nearest neighbours (Å) after each atom.
Element x y z (fractional)
Tb 0.0490 0.5245 0.0000  6 Co 3.06-3.37, 6 Sn 3.17-3.26
Tb 0.4755 0.5245 0.0000  6 Co 3.06-3.37, 6 Sn 3.17-3.26
Tb 0.4755 0.9510 0.0000  6 Co 3.06-3.37, 6 Sn 3.17-3.26
Tb 0.5245 0.0490 0.5000  6 Co 3.06-3.37, 6 Sn 3.17-3.26
Tb 0.5245 0.4755 0.5000  6 Co 3.06-3.37, 6 Sn 3.17-3.26
Tb 0.9510 0.4755 0.5000  6 Co 3.06-3.37, 6 Sn 3.17-3.26
Co 0.0000 0.0000 0.2141  9 Co 2.38-2.48
Co 0.0000 0.0000 0.7141  9 Co 2.38-2.48
Co 0.0978 0.1957 0.9703  7 Co 2.38-2.60, 1 Sn 2.65
Co 0.0978 0.9022 0.9703  7 Co 2.38-2.60, 1 Sn 2.65
Co 0.1593 0.3185 0.6590  4 Co 2.48-2.57, 3 Sn 2.68-2.72
Co 0.1593 0.8407 0.6590  4 Co 2.48-2.57, 3 Sn 2.68-2.72
Co 0.1957 0.0978 0.4703  7 Co 2.38-2.60, 1 Sn 2.65
Co 0.3185 0.1593 0.1590  4 Co 2.48-2.57, 3 Sn 2.68-2.72
Co 0.3333 0.6667 0.3400  4 Sn 2.52-2.64
Co 0.6667 0.3333 0.8400  4 Sn 2.52-2.64
Co 0.6815 0.8407 0.6590  4 Co 2.48-2.57, 3 Sn 2.68-2.72
Co 0.8043 0.9022 0.9703  7 Co 2.38-2.60, 1 Sn 2.65
Co 0.8407 0.1593 0.1590  4 Co 2.48-2.57, 3 Sn 2.68-2.72
Co 0.8407 0.6815 0.1590  4 Co 2.48-2.57, 3 Sn 2.68-2.72
Co 0.9022 0.0978 0.4703  7 Co 2.38-2.60, 1 Sn 2.65
Co 0.9022 0.8043 0.4703  7 Co 2.38-2.60, 1 Sn 2.65
Sn 0.1709 0.3419 0.2880  8 Co 2.52-2.81
Sn 0.1709 0.8291 0.2880  8 Co 2.52-2.81
Sn 0.3333 0.6667 0.6897  4 Co 2.64-2.68
Sn 0.3419 0.1709 0.7880  8 Co 2.52-2.81
Sn 0.6581 0.8291 0.2880  8 Co 2.52-2.81
Sn 0.6667 0.3333 0.1897  4 Co 2.64-2.68
Sn 0.8291 0.1709 0.7880  8 Co 2.52-2.81
Sn 0.8291 0.6581 0.7880  8 Co 2.52-2.81

Results
* formation energy from the elements: -0.303 eV/atom
* volume: 512.8 Å³ per cell
* calculated total energy: -182.7 eV per cell

# 8
Material: KEuYSbO6
Method: DFT, PBE
State: relaxed

Unit cell a=5.9563 b=5.9563 c=5.9563 alpha=60.00 beta=60.00 gamma=60.00
With the nearest neighbours (Å) after each atom.
Element x y z (fractional)
K 0.0000 0.0000 0.0000  12 O 2.98
Eu 0.5000 0.5000 0.5000  12 O 2.98
Y 0.7500 0.7500 0.7500  6 O 2.22
Sb 0.2500 0.2500 0.2500  6 O 1.99
O 0.0133 0.0133 0.4867  1 Sb 1.99, 1 Y 2.22
O 0.0133 0.4867 0.0133  1 Sb 1.99, 1 Y 2.22
O 0.0133 0.4867 0.4867  1 Sb 1.99, 1 Y 2.22
O 0.4867 0.0133 0.0133  1 Sb 1.99, 1 Y 2.22
O 0.4867 0.0133 0.4867  1 Sb 1.99, 1 Y 2.22
O 0.4867 0.4867 0.0133  1 Sb 1.99, 1 Y 2.22

Results
* MP2020-corrected energy: -7.8509 eV per atom
* formation energy from the elements: -2.686 eV/atom
* volume: 149.4 Å³ per cell
* calculated total energy: -74.4 eV per cell